#1
The following is a PBE calculation of a relaxed structure of MgSbRhO4, from the Materials Project database.

Output
volume = 97 Å³ per cell
crystal system = monoclinic

Unit cell a=3.202 b=5.073 c=6.405 alpha=69.42 beta=90.00 gamma=90.00
Element x y z (fractional)
Mg  0.000  0.014  0.641
Sb  0.000  0.200  0.085
Rh  0.500  0.521  0.490
O  0.000  0.352  0.352
O  0.500  0.929  0.235
O  0.500  0.140  0.755
O  0.000  0.637  0.637

#2
The following is a PBE calculation of a relaxed structure of MgSbRhO4, from the Materials Project database.

Output
volume = 90 Å³ per cell
crystal system = monoclinic

Unit cell a=3.146 b=5.091 c=5.679 alpha=97.82 beta=90.00 gamma=90.00
Element x y z (fractional)
Mg  0.103  0.000  0.500
Sb  0.823  0.000  0.000
Rh  0.565  0.500  0.500
O  0.050  0.307  0.307
O  0.590  0.812  0.293
O  0.590  0.188  0.707
O  0.050  0.693  0.693

Preferred: #1; penalty for the next structure: 4.9 kJ/mol of atoms.

#1
The following is a PBE calculation of a relaxed structure of MgSbRhO4, from the Materials Project database.

Output
volume = 94 Å³ per cell
crystal system = monoclinic

Unit cell a=3.193 b=5.050 c=5.831 alpha=88.83 beta=90.00 gamma=90.00
Element x y z (fractional)
Mg  0.000  0.059  0.579
Sb  0.000  0.059  0.079
Rh  0.500  0.534  0.508
O  0.000  0.345  0.322
O  0.500  0.893  0.291
O  0.500  0.214  0.734
O  0.000  0.687  0.681

#2
The following is a PBE calculation of a relaxed structure of MgSbRhO4, from the Materials Project database.

Output
volume = 93 Å³ per cell
crystal system = monoclinic

Unit cell a=3.155 b=5.553 c=5.553 alpha=72.18 beta=90.00 gamma=90.00
Element x y z (fractional)
Mg  0.500  0.216  0.211
Sb  0.000  0.906  0.907
Rh  0.500  0.521  0.519
O  0.000  0.349  0.342
O  0.500  0.842  0.214
O  0.500  0.213  0.838
O  0.000  0.661  0.663

Preferred: #1; penalty for the next structure: 3.8 kJ/mol of atoms.

#1
The following is a PBE calculation of a relaxed structure of MgSb2Rh2O8, from the Materials Project database.

Output
volume = 159 Å³ per cell
crystal system = triclinic

Unit cell a=5.861 b=5.914 c=6.020 alpha=73.43 beta=107.14 gamma=65.07
Element x y z (fractional)
Mg  0.238  0.258  0.000
Sb  0.236  0.257  0.497
Sb  0.952  0.965  0.990
Rh  0.742  0.757  0.493
Rh  0.507  0.542  0.996
O  0.498  0.256  0.825
O  0.070  0.688  0.837
O  0.495  0.827  0.689
O  0.966  0.325  0.655
O  0.509  0.209  0.333
O  0.008  0.691  0.331
O  0.436  0.809  0.170
O  0.963  0.295  0.171

#2
The following is a PBE calculation of a relaxed structure of MgSb2Rh2O8, from the Materials Project database.

Output
volume = 183 Å³ per cell
crystal system = monoclinic

Unit cell a=6.250 b=6.507 c=6.507 alpha=60.78 beta=89.96 gamma=57.76
Element x y z (fractional)
Mg  0.219  0.498  0.717
Sb  0.142  0.258  0.400
Sb  0.013  0.995  0.008
Rh  0.720  0.763  0.484
Rh  0.512  0.501  0.014
O  0.611  0.253  0.864
O  0.102  0.756  0.858
O  0.488  0.813  0.688
O  0.030  0.311  0.715
O  0.488  0.200  0.301
O  0.030  0.686  0.341
O  0.415  0.738  0.154
O  0.932  0.227  0.159

Preferred: #1; penalty for the next structure: 8.0 kJ/mol of atoms.

#1
The following is a PBE calculation of a relaxed structure of SrMgRu2O6, from the Materials Project database.

Output
volume = 135 Å³ per cell
crystal system = monoclinic

Unit cell a=5.477 b=5.617 c=5.320 alpha=73.26 beta=98.50 gamma=120.85
Element x y z (fractional)
Sr  0.000  0.959  0.765
Mg  0.000  0.376  0.117
Ru  0.650  0.345  0.513
Ru  0.350  0.696  0.513
O  0.321  0.386  0.337
O  0.679  0.064  0.337
O  0.000  0.666  0.274
O  0.561  0.515  0.737
O  0.439  0.953  0.737
O  0.000  0.390  0.747

#2
The following is a PBE calculation of a relaxed structure of SrMgRu2O6, from the Materials Project database.

Output
volume = 130 Å³ per cell
crystal system = monoclinic

Unit cell a=5.411 b=5.418 c=5.117 alpha=89.94 beta=90.03 gamma=120.04
Element x y z (fractional)
Sr  0.999  0.999  0.000
Mg  0.331  0.665  0.000
Ru  0.666  0.333  0.500
Ru  0.333  0.667  0.500
O  0.387  0.395  0.274
O  0.604  0.993  0.275
O  0.007  0.612  0.275
O  0.604  0.611  0.725
O  0.387  0.992  0.726
O  0.007  0.394  0.725

#3
The following is a PBE calculation of a relaxed structure of SrMgRu2O6, from the Materials Project database.

Output
volume = 141 Å³ per cell
crystal system = monoclinic

Unit cell a=5.160 b=5.206 c=6.058 alpha=90.72 beta=89.64 gamma=120.30
Element x y z (fractional)
Sr  0.000  0.000  0.000
Mg  0.000  0.000  0.500
Ru  0.673  0.336  0.500
Ru  0.327  0.664  0.500
O  0.335  0.337  0.319
O  0.665  0.001  0.319
O  0.000  0.667  0.313
O  0.665  0.663  0.681
O  0.335  0.999  0.681
O  0.000  0.333  0.687

#4
The following is a PBE calculation of a relaxed structure of SrMgRu2O6, from the Materials Project database.

Output
volume = 117 Å³ per cell
crystal system = orthorhombic

Unit cell a=5.473 b=5.473 c=5.472 alpha=91.06 beta=120.77 gamma=118.03
Element x y z (fractional)
Sr  0.011  0.750  0.761
Mg  0.953  0.250  0.203
Ru  0.493  0.001  0.494
Ru  0.493  0.499  0.992
O  0.998  0.289  0.837
O  0.548  0.839  0.837
O  0.347  0.250  0.597
O  0.580  0.750  0.330
O  0.548  0.211  0.209
O  0.998  0.661  0.210

Preferred: #3; penalty for the next structure: 1.3 kJ/mol of atoms.

#1
The following is a PBE calculation of a relaxed structure of Sr2MgRu3O10, from the Materials Project database.

Output
volume = 211 Å³ per cell
crystal system = triclinic

Unit cell a=5.700 b=6.870 c=6.763 alpha=98.70 beta=90.23 gamma=125.69
Element x y z (fractional)
Sr  0.154  0.596  0.772
Sr  0.827  0.374  0.226
Mg  0.538  0.626  0.179
Ru  0.235  0.014  0.498
Ru  0.776  0.993  0.515
Ru  0.016  0.007  0.996
O  0.180  0.277  0.561
O  0.810  0.719  0.436
O  0.675  0.230  0.551
O  0.331  0.765  0.445
O  0.838  0.659  0.002
O  0.738  0.978  0.199
O  0.716  0.935  0.791
O  0.231  0.001  0.785
O  0.286  0.087  0.224
O  0.172  0.364  0.028

#2
The following is a PBE calculation of a relaxed structure of Sr2MgRu3O10, from the Materials Project database.

Output
volume = 208 Å³ per cell
crystal system = triclinic

Unit cell a=5.653 b=6.668 c=6.731 alpha=102.22 beta=93.77 gamma=120.93
Element x y z (fractional)
Sr  0.290  0.689  0.922
Sr  0.700  0.351  0.132
Mg  0.636  0.543  0.636
Ru  0.226  0.999  0.504
Ru  0.776  0.005  0.491
Ru  0.999  0.012  0.002
O  0.188  0.284  0.577
O  0.820  0.712  0.423
O  0.658  0.243  0.553
O  0.360  0.785  0.434
O  0.816  0.639  0.926
O  0.738  0.988  0.190
O  0.707  0.904  0.757
O  0.265  0.020  0.812
O  0.249  0.028  0.216
O  0.130  0.340  0.046

Preferred: #2; penalty for the next structure: 0.8 kJ/mol of atoms.

#1
The following is a PBE calculation of a relaxed structure of Sr4Tb2MgRu2O12, from the Materials Project database.

Output
volume = 300 Å³ per cell
crystal system = triclinic

Unit cell a=5.746 b=6.075 c=8.618 alpha=85.68 beta=90.99 gamma=89.82
Element x y z (fractional)
Sr  0.003  0.632  0.831
Sr  0.498  0.081  0.782
Sr  0.482  0.011  0.238
Sr  0.017  0.457  0.241
Tb  0.502  0.525  0.016
Tb  0.000  0.919  0.477
Mg  0.027  0.321  0.616
Ru  0.992  0.035  0.001
Ru  0.504  0.451  0.489
O  0.785  0.304  0.948
O  0.825  0.601  0.553
O  0.216  0.773  0.047
O  0.235  0.237  0.446
O  0.719  0.827  0.976
O  0.712  0.180  0.532
O  0.252  0.247  0.032
O  0.309  0.713  0.427
O  0.348  0.460  0.708
O  0.060  0.026  0.751
O  0.589  0.455  0.259
O  0.924  0.015  0.231

#2
The following is a PBE calculation of a relaxed structure of Sr4Tb2MgRu2O12, from the Materials Project database.

Output
volume = 298 Å³ per cell
crystal system = triclinic

Unit cell a=5.817 b=6.137 c=8.369 alpha=87.36 beta=92.20 gamma=92.04
Element x y z (fractional)
Sr  0.987  0.445  0.735
Sr  0.508  0.924  0.743
Sr  0.452  0.121  0.305
Sr  0.065  0.563  0.244
Tb  0.517  0.424  0.976
Tb  0.984  0.002  0.504
Mg  0.635  0.805  0.131
Ru  0.022  0.991  0.997
Ru  0.495  0.517  0.503
O  0.723  0.148  0.955
O  0.766  0.708  0.550
O  0.313  0.822  0.053
O  0.208  0.316  0.465
O  0.815  0.693  0.960
O  0.690  0.235  0.544
O  0.191  0.270  0.053
O  0.297  0.792  0.465
O  0.414  0.513  0.734
O  0.088  0.022  0.768
O  0.576  0.514  0.251
O  0.899  0.957  0.236

Preferred: #2; penalty for the next structure: 1.5 kJ/mol of atoms.

#1
The following is a PBE calculation of a relaxed structure of Sr4Tb2MgRu2O12, from the Materials Project database.

Output
volume = 302 Å³ per cell
crystal system = triclinic

Unit cell a=6.193 b=5.890 c=8.289 alpha=89.48 beta=91.09 gamma=93.25
Element x y z (fractional)
Sr  0.003  0.505  0.760
Sr  0.475  0.955  0.728
Sr  0.588  0.870  0.253
Sr  0.041  0.599  0.248
Tb  0.525  0.449  0.984
Tb  0.970  0.018  0.520
Mg  0.249  0.179  0.238
Ru  0.992  0.014  0.997
Ru  0.485  0.489  0.501
O  0.729  0.178  0.934
O  0.758  0.699  0.511
O  0.276  0.891  0.079
O  0.206  0.306  0.468
O  0.799  0.713  0.000
O  0.680  0.227  0.544
O  0.164  0.329  0.024
O  0.295  0.782  0.460
O  0.424  0.529  0.737
O  0.073  0.967  0.770
O  0.505  0.431  0.255
O  0.949  0.036  0.246

#2
The following is a PBE calculation of a relaxed structure of Sr4Tb2MgRu2O12, from the Materials Project database.

Output
volume = 299 Å³ per cell
crystal system = triclinic

Unit cell a=5.916 b=6.000 c=8.438 alpha=91.16 beta=93.56 gamma=89.42
Element x y z (fractional)
Sr  0.903  0.409  0.801
Sr  0.529  0.948  0.742
Sr  0.484  0.045  0.238
Sr  0.993  0.555  0.226
Tb  0.462  0.500  0.999
Tb  0.014  0.036  0.489
Mg  0.167  0.592  0.579
Ru  0.980  0.991  0.001
Ru  0.547  0.500  0.485
O  0.692  0.190  0.966
O  0.848  0.673  0.537
O  0.247  0.791  0.045
O  0.237  0.326  0.446
O  0.774  0.722  0.967
O  0.706  0.221  0.546
O  0.172  0.272  0.037
O  0.334  0.803  0.460
O  0.434  0.530  0.726
O  0.058  0.004  0.765
O  0.585  0.480  0.258
O  0.917  0.986  0.234

Preferred: #2; penalty for the next structure: 2.3 kJ/mol of atoms.

#1
The following is a PBE calculation of a relaxed structure of MgSO8, from the Materials Project database.

Output
volume = 605 Å³ per cell
crystal system = monoclinic

Unit cell a=13.131 b=5.297 c=10.101 alpha=59.37 beta=90.00 gamma=90.00
Element x y z (fractional)
Mg  0.407  0.999  0.191
Mg  0.593  0.001  0.809
Mg  0.907  0.001  0.309
Mg  0.093  0.999  0.691
S  0.604  0.608  0.190
S  0.396  0.392  0.810
S  0.104  0.392  0.310
S  0.896  0.608  0.690
O  0.834  0.667  0.050
O  0.166  0.333  0.950
O  0.334  0.333  0.450
O  0.666  0.667  0.550
O  0.359  0.588  0.189
O  0.641  0.412  0.811
O  0.859  0.412  0.311
O  0.141  0.588  0.689
O  0.591  0.290  0.290
O  0.409  0.710  0.710
O  0.091  0.710  0.210
O  0.909  0.290  0.790
O  0.282  0.783  0.322
O  0.718  0.217  0.678
O  0.782  0.217  0.178
O  0.218  0.783  0.822
O  0.919  0.836  0.163
O  0.081  0.164  0.837
O  0.419  0.164  0.337
O  0.581  0.836  0.663
O  0.711  0.694  0.209
O  0.289  0.306  0.791
O  0.211  0.306  0.291
O  0.789  0.694  0.709
O  0.536  0.775  0.237
O  0.464  0.225  0.763
O  0.036  0.225  0.263
O  0.964  0.775  0.737
O  0.586  0.702  0.026
O  0.414  0.298  0.974
O  0.086  0.298  0.474
O  0.914  0.702  0.526

#2
The following is a PBE calculation of a relaxed structure of MgSO8, from the Materials Project database.

Output
volume = 240 Å³ per cell
crystal system = monoclinic

Unit cell a=5.336 b=5.336 c=12.440 alpha=55.83 beta=124.17 gamma=114.56
Element x y z (fractional)
Mg  0.000  0.000  0.000
Mg  0.000  0.000  0.500
S  0.735  0.735  0.250
S  0.265  0.265  0.750
O  0.596  0.233  0.834
O  0.233  0.596  0.666
O  0.404  0.767  0.166
O  0.767  0.404  0.334
O  0.875  0.898  0.148
O  0.898  0.875  0.352
O  0.125  0.102  0.852
O  0.102  0.125  0.648
O  0.232  0.468  0.974
O  0.468  0.232  0.526
O  0.768  0.532  0.026
O  0.532  0.768  0.474
O  0.321  0.651  0.879
O  0.651  0.321  0.621
O  0.679  0.349  0.121
O  0.349  0.679  0.379

Preferred: #2; penalty for the next structure: 43.3 kJ/mol of atoms.